Entry 1:
First-principles (r2SCAN) data for a relaxed structure of GdBi, as listed in the Materials Project.

Properties
The value obtained for the size of the total moment is 7.004 Bohr magnetons per cell. The calculation puts the formation energy at -2.117 eV per formula unit. For the total DFT energy (no corrections), the calculation gives -52.01 eV per atom. The space group is No. 225.

Structure (POSCAR):
```
GdBi
1.0
3.912 -0.001 2.257
1.303 3.688 2.257
-0.001 -0.001 4.516
Gd Bi
1 1
direct
0.500 0.500 0.500
0.000 0.000 0.000
```

***

Entry 2:
First-principles (r2SCAN) data for a relaxed structure of Y2AlFe3, as listed in the Materials Project.

Properties
The value obtained for the size of the total moment is 5.486 Bohr magnetons per cell. The calculation puts the formation energy at -0.463 eV per formula unit. For the total DFT energy (no corrections), the calculation gives -15.18 eV per atom. The space group is No. 166.

Structure (POSCAR):
```
Y2AlFe3
1.0
3.951 3.068 -1.724
-3.818 2.056 3.032
3.674 1.759 3.435
Y Fe Al
2 3 1
direct
0.994 0.997 0.008
0.506 0.753 0.742
0.750 0.375 0.375
0.250 0.375 0.375
0.250 0.875 0.375
0.750 0.375 0.875
```

***

Entry 3:
First-principles (r2SCAN) data for a relaxed structure of BaMnO3, as listed in the Materials Project.

Properties
The value obtained for the size of the total moment is 18.000 Bohr magnetons per cell. The calculation puts the formation energy at -12.941 eV per formula unit. For the total DFT energy (no corrections), the calculation gives -14.41 eV per atom. The space group is No. 187.

Structure (POSCAR):
```
BaMnO3
1.0
-0.465 4.771 -3.068
0.264 -5.049 -2.613
-14.006 -1.014 0.547
Mn Ba O
6 6 18
direct
0.000 0.000 0.412
0.667 0.333 0.090
0.000 0.000 0.588
0.000 0.000 0.765
0.000 0.000 0.235
0.667 0.333 0.910
0.333 0.667 0.500
0.667 0.333 0.663
0.333 0.667 0.833
0.000 0.000 0.000
0.667 0.333 0.337
0.333 0.667 0.167
0.147 0.293 0.674
0.296 0.148 0.500
0.147 0.293 0.326
0.334 0.167 0.165
0.523 0.045 0.000
0.833 0.167 0.165
0.523 0.477 0.000
0.852 0.704 0.500
0.334 0.167 0.835
0.955 0.477 0.000
0.852 0.148 0.500
0.833 0.666 0.165
0.707 0.853 0.674
0.707 0.853 0.326
0.147 0.853 0.326
0.147 0.853 0.674
0.833 0.666 0.835
0.833 0.167 0.835
```

***

Entry 4:
First-principles (r2SCAN) data for a relaxed structure of Zr10HN8, as listed in the Materials Project.

Properties
The value obtained for the size of the total moment is 0.000 Bohr magnetons per cell. The calculation puts the formation energy at -32.916 eV per formula unit. For the total DFT energy (no corrections), the calculation gives -17.73 eV per atom. The space group is No. 2.

Structure (POSCAR):
```
Zr10HN8
1.0
5.607 0.005 -0.003
0.955 5.525 0.002
2.721 2.295 7.811
N Zr H
8 10 1
direct
0.601 0.997 0.801
0.802 0.001 0.400
0.102 0.499 0.300
0.198 0.999 0.600
0.898 0.501 0.700
0.399 0.003 0.199
0.701 0.499 0.098
0.299 0.501 0.902
0.452 0.244 0.347
0.751 0.751 0.251
0.548 0.756 0.653
0.639 0.255 0.948
0.249 0.249 0.749
0.857 0.246 0.552
0.049 0.260 0.154
0.143 0.754 0.448
0.361 0.745 0.052
0.951 0.740 0.846
0.500 0.500 0.500
```

***

Entry 5:
First-principles (r2SCAN) data for a relaxed structure of LaEuB12, as listed in the Materials Project.

Properties
The value obtained for the size of the total moment is 6.825 Bohr magnetons per cell. The calculation puts the formation energy at -8.329 eV per formula unit. For the total DFT energy (no corrections), the calculation gives -11.77 eV per atom. The space group is No. 225.

Structure (POSCAR):
```
LaEuB12
1.0
0.000 4.153 4.153
4.153 0.000 4.153
4.153 4.153 0.000
B La Eu
12 1 1
direct
0.600 0.600 0.900
0.400 0.100 0.100
0.400 0.100 0.400
0.900 0.600 0.900
0.600 0.900 0.900
0.900 0.600 0.600
0.600 0.900 0.600
0.400 0.400 0.100
0.100 0.100 0.400
0.100 0.400 0.400
0.900 0.900 0.600
0.100 0.400 0.100
0.500 0.500 0.500
0.000 0.000 0.000
```

***

Entry 6:
First-principles (r2SCAN) data for a relaxed structure of W2SeS3, as listed in the Materials Project.

Properties
The value obtained for the size of the total moment is 0.000 Bohr magnetons per cell. The calculation puts the formation energy at -4.795 eV per formula unit. For the total DFT energy (no corrections), the calculation gives -24.32 eV per atom. The space group is No. 156.

Structure (POSCAR):
```
W2SeS3
1.0
1.608 -2.784 0.000
1.608 2.784 0.000
0.000 0.000 35.123
S W Se
6 4 2
direct
0.667 0.333 0.513
0.667 0.333 0.425
0.333 0.667 0.326
0.333 0.667 0.238
0.667 0.333 0.051
0.667 0.333 0.139
0.667 0.333 0.282
0.333 0.667 0.095
0.667 0.333 0.657
0.333 0.667 0.469
0.333 0.667 0.706
0.333 0.667 0.609
```

***

Entry 7:
First-principles (r2SCAN) data for a relaxed structure of Tb8Se15, as listed in the Materials Project.

Properties
The value obtained for the size of the total moment is 0.000 Bohr magnetons per cell. The calculation puts the formation energy at -44.225 eV per formula unit. For the total DFT energy (no corrections), the calculation gives -22.12 eV per atom. The space group is No. 5.

Structure (POSCAR):
```
Tb8Se15
1.0
6.337 -4.359 -8.679
9.384 1.103 6.723
-1.783 -11.218 4.331
Tb Se
24 45
direct
0.352 0.647 0.666
0.859 0.140 0.667
0.257 0.986 0.166
0.754 0.506 0.170
0.257 0.986 0.834
0.106 0.393 0.000
0.860 0.141 0.333
0.115 0.391 0.331
0.114 0.389 0.669
0.607 0.894 0.000
0.353 0.648 0.334
0.014 0.743 0.166
0.515 0.236 0.499
0.995 0.749 0.500
0.494 0.246 0.830
0.764 0.485 0.501
0.014 0.743 0.834
0.494 0.246 0.168
0.251 0.005 0.500
0.754 0.506 0.832
0.373 0.627 0.000
0.841 0.159 0.000
0.609 0.885 0.669
0.611 0.886 0.331
0.265 0.273 0.499
0.424 0.069 0.000
0.766 0.778 0.159
0.766 0.778 0.842
0.222 0.234 0.158
0.682 0.069 0.165
0.429 0.068 0.333
0.932 0.571 0.667
0.494 0.504 0.808
0.869 0.884 0.313
0.006 0.993 0.100
0.175 0.824 0.666
0.116 0.131 0.687
0.688 0.057 0.500
0.868 0.883 0.686
0.611 0.621 0.350
0.379 0.389 0.650
0.680 0.319 0.664
0.727 0.735 0.501
0.189 0.561 0.167
0.931 0.318 0.835
0.195 0.805 0.000
0.439 0.811 0.833
0.358 0.368 0.999
0.117 0.132 0.314
0.994 0.006 0.500
0.681 0.320 0.336
0.932 0.571 0.334
0.176 0.825 0.334
0.632 0.642 0.001
0.943 0.312 0.500
0.430 0.816 0.500
0.682 0.069 0.836
0.382 0.391 0.346
0.007 0.994 0.900
0.439 0.811 0.167
0.931 0.576 0.000
0.931 0.318 0.164
0.496 0.506 0.192
0.189 0.561 0.833
0.222 0.234 0.841
0.667 0.333 0.000
0.609 0.618 0.654
0.429 0.068 0.666
0.184 0.570 0.500
```

***

Entry 8:
First-principles (r2SCAN) data for a relaxed structure of YbHgPd2, as listed in the Materials Project.

Properties
The value obtained for the size of the total moment is 0.000 Bohr magnetons per cell. The calculation puts the formation energy at -2.978 eV per formula unit. For the total DFT energy (no corrections), the calculation gives -33.70 eV per atom. The space group is No. 225.

Structure (POSCAR):
```
YbHgPd2
1.0
0.000 3.331 3.331
3.331 0.000 3.331
3.331 3.331 0.000
Pd Yb Hg
2 1 1
direct
0.250 0.250 0.250
0.750 0.750 0.750
0.000 0.000 0.000
0.500 0.500 0.500
```

***

Entry 9:
First-principles (r2SCAN) data for a relaxed structure of YbMgCd2, as listed in the Materials Project.

Properties
The value obtained for the size of the total moment is 0.000 Bohr magnetons per cell. The calculation puts the formation energy at -1.259 eV per formula unit. For the total DFT energy (no corrections), the calculation gives -20.54 eV per atom. The space group is No. 225.

Structure (POSCAR):
```
YbMgCd2
1.0
1.269 -4.368 -2.084
-0.854 -4.280 2.446
-3.556 -3.132 -1.606
Cd Mg Yb
2 1 1
direct
0.750 0.750 0.750
0.250 0.250 0.250
0.500 0.500 0.500
0.000 0.000 0.000
```

***

Entry 10:
First-principles (r2SCAN) data for a relaxed structure of Nb2Co3Si, as listed in the Materials Project.

Properties
The value obtained for the size of the total moment is 0.000 Bohr magnetons per cell. The calculation puts the formation energy at -2.035 eV per formula unit. For the total DFT energy (no corrections), the calculation gives -16.66 eV per atom. The space group is No. 194.

Structure (POSCAR):
```
Nb2Co3Si
1.0
4.832 0.000 0.000
-2.416 4.185 0.000
0.000 0.000 7.513
Si Co Nb
2 6 4
direct
0.000 0.000 0.000
0.000 0.000 0.500
0.830 0.661 0.250
0.830 0.170 0.250
0.339 0.170 0.250
0.170 0.339 0.750
0.661 0.830 0.750
0.170 0.830 0.750
0.333 0.667 0.440
0.667 0.333 0.940
0.333 0.667 0.060
0.667 0.333 0.560
```

***

Entry 11:
First-principles (r2SCAN) data for a relaxed structure of Na2FeO3, as listed in the Materials Project.

Properties
The value obtained for the size of the total moment is 16.000 Bohr magnetons per cell. The calculation puts the formation energy at -10.045 eV per formula unit. For the total DFT energy (no corrections), the calculation gives -8.25 eV per atom. The space group is No. 1. As for the excess energy over the best structure of this formula in the dataset: 0.023 eV per atom.

Structure (POSCAR):
```
Na2FeO3
1.0
-1.482 -1.323 -4.866
0.303 -8.264 0.315
-6.053 -1.733 0.452
O Na Fe
12 8 4
direct
0.268 0.749 0.047
0.729 0.885 0.320
0.228 0.385 0.820
0.768 0.249 0.548
0.739 0.628 0.172
0.191 0.422 0.373
0.240 0.128 0.673
0.312 0.056 0.144
0.258 0.759 0.444
0.692 0.922 0.874
0.758 0.259 0.943
0.812 0.555 0.644
0.999 0.000 0.001
0.500 0.500 0.500
0.013 0.671 0.829
0.985 0.329 0.171
0.486 0.828 0.672
0.502 0.501 0.998
0.004 0.001 0.501
0.513 0.170 0.330
0.000 0.667 0.333
0.500 0.167 0.834
0.002 0.334 0.666
0.502 0.834 0.166
```

***

Entry 12:
First-principles (r2SCAN) data for a relaxed structure of TmSnIr, as listed in the Materials Project.

Properties
The value obtained for the size of the total moment is 0.000 Bohr magnetons per cell. The calculation puts the formation energy at -2.861 eV per formula unit. For the total DFT energy (no corrections), the calculation gives -38.36 eV per atom. The space group is No. 189.

Structure (POSCAR):
```
TmSnIr
1.0
-1.714 -1.033 7.222
-3.600 -3.889 -5.299
2.609 -2.727 0.229
Sn Tm Ir
3 3 3
direct
0.000 0.735 0.000
0.265 0.265 0.000
0.735 0.000 0.000
0.597 0.597 0.500
0.000 0.403 0.500
0.403 0.000 0.500
0.667 0.333 0.000
0.333 0.667 0.000
0.000 0.000 0.500
```

***

What is the total DFT energy (no corrections) in the twelfth record?
-38.36 eV per atom

***

Repeat the third record exactly.
First-principles (r2SCAN) data for a relaxed structure of BaMnO3, as listed in the Materials Project.

Properties
The value obtained for the size of the total moment is 18.000 Bohr magnetons per cell. The calculation puts the formation energy at -12.941 eV per formula unit. For the total DFT energy (no corrections), the calculation gives -14.41 eV per atom. The space group is No. 187.

Structure (POSCAR):
```
BaMnO3
1.0
-0.465 4.771 -3.068
0.264 -5.049 -2.613
-14.006 -1.014 0.547
Mn Ba O
6 6 18
direct
0.000 0.000 0.412
0.667 0.333 0.090
0.000 0.000 0.588
0.000 0.000 0.765
0.000 0.000 0.235
0.667 0.333 0.910
0.333 0.667 0.500
0.667 0.333 0.663
0.333 0.667 0.833
0.000 0.000 0.000
0.667 0.333 0.337
0.333 0.667 0.167
0.147 0.293 0.674
0.296 0.148 0.500
0.147 0.293 0.326
0.334 0.167 0.165
0.523 0.045 0.000
0.833 0.167 0.165
0.523 0.477 0.000
0.852 0.704 0.500
0.334 0.167 0.835
0.955 0.477 0.000
0.852 0.148 0.500
0.833 0.666 0.165
0.707 0.853 0.674
0.707 0.853 0.326
0.147 0.853 0.326
0.147 0.853 0.674
0.833 0.666 0.835
0.833 0.167 0.835
```

***

Look up the total DFT energy (no corrections) of the sixth one.
-24.32 eV per atom

***

Which of these has the lowest total DFT energy (no corrections)?
GdBi